No. 1
Entry from the Materials Project database: an optimized crystal structure of CaTiF6 (PBE).

Properties
V (A^3/atom): 18.16
E (eV per atom): -6.2982
ΔE_f (kJ/mol of formula units): -3065

Geometry as extended XYZ:
```
8
Lattice="0.000 4.173 4.173 4.173 0.000 4.173 4.173 4.173 0.000" Properties=species:S:1:pos:R:3 pbc="T T T"
Ca 0.000 0.000 0.000
Ti 4.173 4.173 4.173
F 4.173 4.173 2.280
F 4.173 2.280 4.173
F 6.066 4.173 4.173
F 2.280 4.173 4.173
F 4.173 6.066 4.173
F 4.173 4.173 6.066
```

***

No. 2
Entry from the Materials Project database: an optimized crystal structure of CeSnAu2 (PBE).

Properties
V (A^3/atom): 22.81
E (eV per atom): -4.7804
ΔE_f (kJ/mol of formula units): -254

Geometry as extended XYZ:
```
4
Lattice="0.000 3.573 3.573 3.573 0.000 3.573 3.573 3.573 0.000" Properties=species:S:1:pos:R:3 pbc="T T T"
Ce 0.000 0.000 0.000
Sn 3.573 3.573 3.573
Au 1.787 1.787 1.787
Au 5.360 5.360 5.360
```

***

No. 3
Entry from the Materials Project database: an optimized crystal structure of HoGa3 (PBE).

Properties
V (A^3/atom): 19.55
E (eV per atom): -3.9408
ΔE_f (kJ/mol of formula units): -202

Geometry as extended XYZ:
```
16
Lattice="6.156 0.000 0.000 -3.078 5.331 0.000 0.000 0.000 9.530" Properties=species:S:1:pos:R:3 pbc="T T T"
Ho 0.000 0.000 0.000
Ho 0.000 0.000 4.765
Ho 0.000 3.554 2.382
Ho 3.078 1.777 7.147
Ga -1.539 2.665 0.000
Ga -1.539 2.665 4.765
Ga 0.000 1.978 7.147
Ga -1.364 4.342 7.147
Ga 1.713 0.989 2.382
Ga 3.078 0.000 0.000
Ga 3.078 0.000 4.765
Ga 1.539 2.665 0.000
Ga 1.539 2.665 4.765
Ga 1.364 4.342 7.147
Ga 4.442 0.989 2.382
Ga 3.078 3.353 2.382
```

***

No. 4
Entry from the Materials Project database: an optimized crystal structure of Na2TeSe3 (PBE).

Properties
V (A^3/atom): 28.96
E (eV per atom): -3.3422
ΔE_f (kJ/mol of formula units): -501
E above lowest polymorph (meV per atom): 0

Geometry as extended XYZ:
```
24
Lattice="11.004 -3.032 0.000 11.004 3.032 0.000 -6.295 0.000 10.417" Properties=species:S:1:pos:R:3 pbc="T T T"
Na 0.382 0.211 1.987
Na -2.766 -0.211 7.195
Na 4.761 0.068 1.293
Na 1.614 -0.068 6.501
Na 14.100 0.068 3.915
Na 10.952 -0.068 9.123
Na 18.479 0.211 3.222
Na 15.332 -0.211 8.430
Te 5.557 0.307 5.129
Te 2.410 -0.307 10.337
Te 13.304 0.307 0.080
Te 10.156 -0.307 5.288
Se -0.907 0.223 4.764
Se -4.054 -0.223 9.972
Se 3.306 0.055 3.993
Se 0.159 -0.055 9.201
Se 7.195 0.199 3.188
Se 4.047 -0.199 8.396
Se 11.666 0.199 2.021
Se 8.519 -0.199 7.229
Se 15.555 0.055 1.216
Se 12.407 -0.055 6.424
Se 19.768 0.223 0.444
Se 16.620 -0.223 5.652
```

***

No. 5
Entry from the Materials Project database: an optimized crystal structure of CdC2O4 (PBE).

Properties
V (A^3/atom): 12.62
E (eV per atom): -6.7702
ΔE_f (kJ/mol of formula units): -1058

Geometry as extended XYZ:
```
14
Lattice="5.906 0.000 0.000 0.000 5.412 0.000 -3.569 0.000 5.527" Properties=species:S:1:pos:R:3 pbc="T T T"
Cd 0.000 0.000 0.000
Cd -1.784 2.706 2.763
C -0.584 0.637 5.072
C 1.201 2.069 2.309
C 1.137 3.343 3.217
C 2.921 4.775 0.454
O -1.680 1.043 4.558
O 0.104 1.663 1.795
O 0.021 3.904 3.392
O 1.805 4.214 0.629
O 0.532 1.198 4.898
O 2.316 1.508 2.134
O 2.233 3.749 3.731
O 4.018 4.369 0.968
```

***

No. 6
Entry from the Materials Project database: an optimized crystal structure of Ag2SeO4 (PBE).

Properties
V (A^3/atom): 15.71
E (eV per atom): -4.5866
ΔE_f (kJ/mol of formula units): -569
E above lowest polymorph (meV per atom): 0

Geometry as extended XYZ:
```
14
Lattice="0.000 5.718 6.409 3.001 0.000 6.409 3.001 5.718 0.000" Properties=species:S:1:pos:R:3 pbc="T T T"
Ag 2.251 0.839 4.807
Ag 3.751 3.698 8.012
Ag 2.251 7.738 4.807
Ag 3.751 10.597 8.012
Se 2.251 4.289 4.807
Se 3.751 7.148 8.012
O 3.200 3.275 5.771
O 3.200 5.302 3.843
O 4.700 6.135 7.048
O 1.302 3.275 3.843
O 4.700 8.161 8.976
O 1.302 5.302 5.771
O 2.803 6.135 8.976
O 2.803 8.161 7.048
```

***

No. 7
Entry from the Materials Project database: an optimized crystal structure of SrAl2S4 (PBE).

Properties
V (A^3/atom): 24.16
E (eV per atom): -5.1346
ΔE_f (kJ/mol of formula units): -1180

Geometry as extended XYZ:
```
14
Lattice="2.982 -5.309 0.000 2.982 5.309 0.000 0.000 0.000 10.681" Properties=species:S:1:pos:R:3 pbc="T T T"
Sr 0.000 0.000 2.670
Sr 0.000 0.000 8.011
Al 2.976 2.541 0.000
Al 2.989 2.541 5.341
Al 2.976 -2.541 5.341
Al 2.989 -2.541 0.000
S 1.491 2.654 1.720
S 1.491 2.654 8.961
S 1.391 0.940 5.341
S 1.391 -0.940 0.000
S 1.491 -2.654 3.621
S 1.491 -2.654 7.061
S 4.574 0.940 0.000
S 4.574 -0.940 5.341
```

***

No. 8
Entry from the Materials Project database: an optimized crystal structure of Tm2TiO5 (PBE).

Properties
V (A^3/atom): 12.76
E (eV per atom): -8.6524
ΔE_f (kJ/mol of formula units): -2998
E above lowest polymorph (meV per atom): 33

Geometry as extended XYZ:
```
32
Lattice="7.404 0.000 0.000 0.000 3.591 0.000 0.000 0.000 15.352" Properties=species:S:1:pos:R:3 pbc="T T T"
Tm 0.748 0.898 1.296
Tm 1.185 0.898 11.323
Tm 2.517 2.693 3.647
Tm 2.954 2.693 8.972
Tm 4.450 0.898 6.380
Tm 4.887 0.898 11.705
Tm 6.219 2.693 4.029
Tm 6.656 2.693 14.056
Ti 0.855 0.898 6.497
Ti 2.846 2.693 14.173
Ti 4.557 0.898 1.179
Ti 6.548 2.693 8.854
O 0.533 2.693 2.680
O 0.554 2.693 6.962
O 0.890 2.693 9.961
O 1.148 2.693 15.285
O 1.841 2.693 12.621
O 1.861 0.898 4.945
O 2.554 0.898 7.609
O 2.812 0.898 2.285
O 3.148 0.898 14.637
O 3.169 0.898 10.356
O 4.235 2.693 4.995
O 4.256 2.693 0.714
O 4.592 2.693 13.066
O 4.850 2.693 7.743
O 5.543 2.693 10.407
O 5.563 0.898 2.731
O 6.256 0.898 0.067
O 6.514 0.898 5.390
O 6.850 0.898 8.390
O 6.871 0.898 12.671
```